[1]
# Tb3Ge4, optimized geometry, DFT r2SCAN
# Calculated formation energy   -0.882 eV/atom
# Total DFT energy (no corrections)   -22.191 eV per atom
data_Tb3Ge4
_chemical_formula_sum 'Tb12 Ge16'
_cell_length_a 4.083
_cell_length_b 10.688
_cell_length_c 14.254
_cell_angle_alpha 90.00
_cell_angle_beta 90.00
_cell_angle_gamma 90.00
_space_group_name_H-M_alt 'C m c m'
_space_group_IT_number 63
_space_group_name_Hall '-C 2c 2'
loop_
_atom_site_label
_atom_site_type_symbol
_atom_site_fract_x
_atom_site_fract_y
_atom_site_fract_z
Tb1 Tb 0.000 0.044 0.250
Tb2 Tb 0.000 0.330 0.097
Ge1 Ge 0.000 0.000 0.000
Ge2 Ge 0.000 0.229 0.750
Ge3 Ge 0.000 0.381 0.609


[2]
# Ti2CoRe, optimized geometry, DFT r2SCAN
# Calculated formation energy   -0.451 eV/atom
# Total DFT energy (no corrections)   -23.331 eV per atom
data_Ti2CoRe
_chemical_formula_sum 'Ti8 Co4 Re4'
_cell_length_a 6.096
_cell_length_b 6.096
_cell_length_c 6.096
_cell_angle_alpha 90.00
_cell_angle_beta 90.00
_cell_angle_gamma 90.00
_space_group_name_H-M_alt 'F m -3 m'
_space_group_IT_number 225
_space_group_name_Hall '-F 4 2 3'
loop_
_atom_site_label
_atom_site_type_symbol
_atom_site_fract_x
_atom_site_fract_y
_atom_site_fract_z
Ti1 Ti 0.250 0.250 0.250
Co1 Co 0.000 0.000 0.000
Re1 Re 0.000 0.000 0.500


[3]
# TeO2, optimized geometry, DFT r2SCAN
# Calculated formation energy   -1.102 eV/atom
# Total DFT energy (no corrections)   -13.556 eV per atom
data_TeO2
_chemical_formula_sum 'Te4 O8'
_cell_length_a 4.833
_cell_length_b 4.833
_cell_length_c 7.651
_cell_angle_alpha 90.00
_cell_angle_beta 90.00
_cell_angle_gamma 90.00
_space_group_name_H-M_alt 'P 41 21 2'
_space_group_IT_number 92
loop_
_space_group_symop_operation_xyz
'x,y,z'
'-y+1/2,x+1/2,z+1/4'
'-x,-y,z+1/2'
'y+1/2,-x+1/2,z+3/4'
'x+1/2,-y+1/2,-z+3/4'
'-y,-x,-z+1/2'
'-x+1/2,y+1/2,-z+1/4'
'y,x,-z'
loop_
_atom_site_label
_atom_site_type_symbol
_atom_site_fract_x
_atom_site_fract_y
_atom_site_fract_z
Te1 Te 0.028 0.028 0.000
O1 O 0.139 0.260 0.185